Compound: MnCuO2
Source: the Materials Project database
Functional: r²SCAN
Structure: optimized geometry

energy of formation: -1.5533 eV per atom

a b c (Å): 5.575 2.893 5.875
angles (deg): 90.00 103.97 90.00
Fractional coordinates of all 8 atoms:
Mn (0.000, 0.000, 0.000)
Mn (0.500, 0.500, 0.000)
Cu (0.000, 0.500, 0.500)
Cu (0.500, 0.000, 0.500)
O (0.095, 0.500, 0.820)
O (0.405, 0.000, 0.180)
O (0.595, 0.000, 0.820)
O (0.905, 0.500, 0.180)



Compound: MnCuPd2
Source: the Materials Project database
Functional: r²SCAN
Structure: optimized geometry

energy of formation: -0.3867 eV per atom

a b c (Å): 6.085 6.085 6.085
angles (deg): 90.00 90.00 90.00
Fractional coordinates of all 16 atoms:
Mn (0.000, 0.000, 0.000)
Mn (0.000, 0.500, 0.500)
Mn (0.500, 0.000, 0.500)
Mn (0.500, 0.500, 0.000)
Cu (0.000, 0.000, 0.500)
Cu (0.000, 0.500, 0.000)
Cu (0.500, 0.000, 0.000)
Cu (0.500, 0.500, 0.500)
Pd (0.250, 0.250, 0.250)
Pd (0.250, 0.250, 0.750)
Pd (0.250, 0.750, 0.250)
Pd (0.250, 0.750, 0.750)
Pd (0.750, 0.250, 0.250)
Pd (0.750, 0.250, 0.750)
Pd (0.750, 0.750, 0.250)
Pd (0.750, 0.750, 0.750)



Compound: Cu3Mo4O12
Source: the Materials Project database
Functional: r²SCAN
Structure: optimized geometry

energy of formation: -1.7247 eV per atom

a b c (Å): 6.434 6.434 6.434
angles (deg): 109.47 109.47 109.47
Fractional coordinates of all 19 atoms:
Cu (0.000, 0.500, 0.500)
Cu (0.500, 0.000, 0.500)
Cu (0.500, 0.500, 0.000)
Mo (0.000, 0.000, 0.500)
Mo (0.000, 0.500, 0.000)
Mo (0.500, 0.000, 0.000)
Mo (0.500, 0.500, 0.500)
O (0.118, 0.305, 0.813)
O (0.187, 0.493, 0.305)
O (0.187, 0.882, 0.695)
O (0.305, 0.187, 0.493)
O (0.305, 0.813, 0.118)
O (0.493, 0.305, 0.187)
O (0.507, 0.695, 0.813)
O (0.695, 0.187, 0.882)
O (0.695, 0.813, 0.507)
O (0.813, 0.118, 0.305)
O (0.813, 0.507, 0.695)
O (0.882, 0.695, 0.187)



Compound: CuNi3N
Source: the Materials Project database
Functional: r²SCAN
Structure: optimized geometry

energy of formation: -0.0278 eV per atom

a b c (Å): 3.702 3.702 3.702
angles (deg): 90.00 90.00 90.00
Fractional coordinates of all 5 atoms:
Cu (0.000, 0.000, 0.000)
Ni (0.000, 0.500, 0.500)
Ni (0.500, 0.000, 0.500)
Ni (0.500, 0.500, 0.000)
N (0.500, 0.500, 0.500)



Compound: Na3CuO3
Source: the Materials Project database
Functional: r²SCAN
Structure: optimized geometry

energy above the lowest structure with this stoichiometry: 0.0189 eV per atom
energy of formation: -1.3163 eV per atom

a b c (Å): 9.068 9.068 4.434
angles (deg): 90.00 90.00 90.00
Fractional coordinates of all 28 atoms:
Na (0.126, 0.371, 0.000)
Na (0.129, 0.626, 0.500)
Na (0.147, 0.853, 0.000)
Na (0.353, 0.353, 0.500)
Na (0.371, 0.126, 0.000)
Na (0.374, 0.871, 0.500)
Na (0.626, 0.129, 0.500)
Na (0.629, 0.874, 0.000)
Na (0.647, 0.647, 0.500)
Na (0.853, 0.147, 0.000)
Na (0.871, 0.374, 0.500)
Na (0.874, 0.629, 0.000)
Cu (0.111, 0.111, 0.500)
Cu (0.389, 0.611, 0.000)
Cu (0.611, 0.389, 0.000)
Cu (0.889, 0.889, 0.500)
O (0.096, 0.904, 0.500)
O (0.107, 0.311, 0.500)
O (0.189, 0.607, 0.000)
O (0.311, 0.107, 0.500)
O (0.393, 0.811, 0.000)
O (0.404, 0.404, 0.000)
O (0.596, 0.596, 0.000)
O (0.607, 0.189, 0.000)
O (0.689, 0.893, 0.500)
O (0.811, 0.393, 0.000)
O (0.893, 0.689, 0.500)
O (0.904, 0.096, 0.500)



Compound: Na8Cu5O10
Source: the Materials Project database
Functional: r²SCAN
Structure: optimized geometry

energy of formation: -1.2538 eV per atom

a b c (Å): 8.070 8.070 5.645
angles (deg): 100.87 100.87 119.05
Fractional coordinates of all 23 atoms:
Na (0.000, 0.000, 0.000)
Na (0.134, 0.355, 0.785)
Na (0.233, 0.793, 0.004)
Na (0.355, 0.134, 0.785)
Na (0.549, 0.824, 0.749)
Na (0.571, 0.571, 0.059)
Na (0.793, 0.233, 0.004)
Na (0.824, 0.549, 0.749)
Cu (0.071, 0.673, 0.397)
Cu (0.263, 0.462, 0.368)
Cu (0.462, 0.263, 0.368)
Cu (0.673, 0.071, 0.397)
Cu (0.895, 0.895, 0.427)
O (0.044, 0.829, 0.658)
O (0.102, 0.520, 0.142)
O (0.211, 0.611, 0.620)
O (0.306, 0.306, 0.116)
O (0.436, 0.436, 0.623)
O (0.520, 0.102, 0.142)
O (0.611, 0.211, 0.620)
O (0.736, 0.934, 0.169)
O (0.829, 0.044, 0.658)
O (0.934, 0.736, 0.169)



Compound: Na3CuO3
Source: the Materials Project database
Functional: r²SCAN
Structure: optimized geometry

energy above the lowest structure with this stoichiometry: 0.0000 eV per atom
energy of formation: -1.3352 eV per atom

a b c (Å): 8.043 8.043 16.254
angles (deg): 90.00 90.00 94.90
Fractional coordinates of all 84 atoms:
Na (0.016, 0.661, 0.686)
Na (0.021, 0.374, 0.571)
Na (0.024, 0.976, 0.780)
Na (0.126, 0.479, 0.929)
Na (0.161, 0.516, 0.186)
Na (0.167, 0.333, 0.750)
Na (0.171, 0.829, 0.279)
Na (0.179, 0.230, 0.087)
Na (0.230, 0.179, 0.913)
Na (0.270, 0.321, 0.413)
Na (0.321, 0.270, 0.587)
Na (0.329, 0.671, 0.779)
Na (0.333, 0.167, 0.250)
Na (0.339, 0.984, 0.686)
Na (0.374, 0.021, 0.429)
Na (0.476, 0.524, 0.280)
Na (0.479, 0.126, 0.071)
Na (0.484, 0.839, 0.186)
Na (0.516, 0.161, 0.814)
Na (0.521, 0.874, 0.929)
Na (0.524, 0.476, 0.720)
Na (0.626, 0.979, 0.571)
Na (0.661, 0.016, 0.314)
Na (0.667, 0.833, 0.750)
Na (0.671, 0.329, 0.221)
Na (0.679, 0.730, 0.413)
Na (0.730, 0.679, 0.587)
Na (0.770, 0.821, 0.087)
Na (0.821, 0.770, 0.913)
Na (0.829, 0.171, 0.721)
Na (0.833, 0.667, 0.250)
Na (0.839, 0.484, 0.814)
Na (0.874, 0.521, 0.071)
Na (0.976, 0.024, 0.220)
Na (0.979, 0.626, 0.429)
Na (0.984, 0.339, 0.314)
Cu (0.001, 0.999, 0.416)
Cu (0.151, 0.849, 0.078)
Cu (0.172, 0.828, 0.909)
Cu (0.328, 0.672, 0.409)
Cu (0.349, 0.651, 0.578)
Cu (0.499, 0.501, 0.916)
Cu (0.501, 0.499, 0.084)
Cu (0.651, 0.349, 0.422)
Cu (0.672, 0.328, 0.591)
Cu (0.828, 0.172, 0.091)
Cu (0.849, 0.151, 0.922)
Cu (0.999, 0.001, 0.584)
O (0.018, 0.743, 0.154)
O (0.048, 0.724, 0.994)
O (0.055, 0.698, 0.832)
O (0.110, 0.129, 0.661)
O (0.116, 0.116, 0.500)
O (0.129, 0.110, 0.339)
O (0.198, 0.555, 0.332)
O (0.224, 0.548, 0.494)
O (0.243, 0.518, 0.654)
O (0.257, 0.982, 0.154)
O (0.276, 0.952, 0.994)
O (0.302, 0.945, 0.832)
O (0.371, 0.390, 0.839)
O (0.384, 0.384, 0.000)
O (0.390, 0.371, 0.161)
O (0.445, 0.802, 0.332)
O (0.452, 0.776, 0.494)
O (0.482, 0.757, 0.654)
O (0.518, 0.243, 0.346)
O (0.548, 0.224, 0.506)
O (0.555, 0.198, 0.668)
O (0.610, 0.629, 0.839)
O (0.616, 0.616, 0.000)
O (0.629, 0.610, 0.161)
O (0.698, 0.055, 0.168)
O (0.724, 0.048, 0.006)
O (0.743, 0.018, 0.846)
O (0.757, 0.482, 0.346)
O (0.776, 0.452, 0.506)
O (0.802, 0.445, 0.668)
O (0.871, 0.890, 0.661)
O (0.884, 0.884, 0.500)
O (0.890, 0.871, 0.339)
O (0.945, 0.302, 0.168)
O (0.952, 0.276, 0.006)
O (0.982, 0.257, 0.846)



Compound: Na12Cu7O14
Source: the Materials Project database
Functional: r²SCAN
Structure: optimized geometry

energy of formation: -1.2569 eV per atom

a b c (Å): 10.642 10.642 5.635
angles (deg): 98.10 98.10 134.70
Fractional coordinates of all 33 atoms:
Na (0.000, 0.000, 0.000)
Na (0.106, 0.562, 0.288)
Na (0.192, 0.832, 0.030)
Na (0.248, 0.398, 0.282)
Na (0.398, 0.248, 0.282)
Na (0.408, 0.711, 0.060)
Na (0.562, 0.106, 0.288)
Na (0.568, 0.568, 0.053)
Na (0.711, 0.408, 0.060)
Na (0.804, 0.971, 0.336)
Na (0.832, 0.192, 0.030)
Na (0.971, 0.804, 0.336)
Cu (0.137, 0.279, 0.700)
Cu (0.279, 0.137, 0.700)
Cu (0.404, 0.977, 0.675)
Cu (0.539, 0.825, 0.647)
Cu (0.683, 0.683, 0.638)
Cu (0.825, 0.539, 0.647)
Cu (0.977, 0.404, 0.675)
O (0.011, 0.296, 0.444)
O (0.106, 0.402, 0.933)
O (0.130, 0.130, 0.441)
O (0.265, 0.265, 0.947)
O (0.296, 0.011, 0.444)
O (0.402, 0.106, 0.933)
O (0.409, 0.851, 0.419)
O (0.513, 0.943, 0.900)
O (0.552, 0.700, 0.394)
O (0.680, 0.824, 0.897)
O (0.700, 0.552, 0.394)
O (0.824, 0.680, 0.897)
O (0.851, 0.409, 0.419)
O (0.943, 0.513, 0.900)



So what do the calculations give for theoretical density? Going down the list: 5.4; 9.8; 6.2; 8.3; 3.3; 3.7; 3.4; 3.7 g/cm³.